VASP calculation (PBE) on a relaxed NaLa2Zr2P3S3O24 crystal.

Geometry as POSCAR:
```
NaLa2Zr2P3S3O24
1.0
9.2497 -0.0079 -0.0021
-4.6317 8.0139 -0.0147
-0.0044 -0.0460 24.1767
P O S Zr La Na
9 72 9 6 6 3
direct
0.9932 0.7230 0.7519
0.0453 0.3733 0.9153
0.3576 0.3328 0.0835
0.7260 0.0042 0.7511
0.7256 0.7223 0.2502
0.3233 0.3690 0.4154
0.6626 0.0209 0.0841
0.2783 0.0004 0.2494
0.0445 0.6718 0.4157
0.8201 0.9968 0.6982
0.1220 0.6432 0.3649
0.0328 0.8329 0.4093
0.5450 0.6942 0.9662
0.1262 0.4789 0.8642
0.1577 0.4657 0.9674
0.8262 0.8179 0.3034
0.0331 0.1990 0.9064
0.8146 0.9993 0.0974
0.4451 0.2878 0.7476
0.1481 0.6622 0.0730
0.8681 0.3463 0.9225
0.6541 0.1238 0.4255
0.5063 0.8446 0.0701
0.8672 0.2950 0.5348
0.1907 0.0036 0.5959
0.1937 0.1738 0.8009
0.8188 0.8244 0.1980
0.4292 0.1324 0.5352
0.7016 0.1316 0.0329
0.7101 0.1627 0.7485
0.9880 0.1808 0.3009
0.1488 0.4422 0.2501
0.3068 0.4661 0.4678
0.9990 0.1883 0.5956
0.1768 0.9950 0.1978
0.5518 0.7066 0.2496
0.8120 0.8094 0.5954
0.4328 0.2997 0.0321
0.9050 0.3717 0.6318
0.4527 0.1589 0.2506
0.1870 0.0107 0.3031
0.6287 0.5327 0.6322
0.5290 0.8850 0.3677
0.3396 0.8566 0.5710
0.5582 0.8462 0.7535
0.1438 0.4832 0.5711
0.9822 0.8170 0.8035
0.9066 0.5331 0.1322
0.3578 0.4786 0.3651
0.7117 0.5491 0.2496
0.8334 0.0214 0.8034
0.4680 0.0983 0.6322
0.8465 0.2927 0.2484
0.4693 0.1263 0.9218
0.7957 0.9668 0.4110
0.4733 0.3430 0.4250
0.6223 0.0960 0.1344
0.0070 0.1898 0.1993
0.1620 0.1980 0.4076
0.0037 0.8240 0.6982
0.3053 0.8524 0.9659
0.7953 0.8279 0.9096
0.8337 0.5489 0.7488
0.1702 0.9674 0.9083
0.8733 0.5709 0.0342
0.5415 0.8481 0.4670
0.1842 0.1825 0.0971
0.3535 0.8815 0.8666
0.9987 0.8086 0.0943
0.3364 0.4900 0.0712
0.1578 0.6914 0.4682
0.6542 0.5287 0.9230
0.1497 0.7096 0.7523
0.2920 0.8420 0.2493
0.5169 0.6616 0.5710
0.5274 0.6471 0.8666
0.1809 0.1866 0.6994
0.4733 0.3795 0.1339
0.8688 0.5216 0.4248
0.2926 0.4362 0.7523
0.7040 0.5720 0.5352
0.6628 0.6412 0.5836
0.6311 0.9549 0.4174
0.3580 0.0228 0.5836
0.9777 0.6413 0.0837
0.2774 0.2720 0.7506
0.9768 0.3332 0.5831
0.6279 0.6720 0.9160
0.3241 0.9550 0.9162
0.9967 0.2751 0.2502
0.9978 0.9985 0.1460
0.9925 0.0012 0.8567
0.0086 0.9923 0.3554
0.3319 0.6558 0.0183
0.3237 0.6583 0.5131
0.9937 0.9917 0.6492
0.6738 0.3340 0.6872
0.6658 0.3235 0.9873
0.6646 0.3373 0.4825
0.3271 0.6679 0.8059
0.6521 0.3276 0.1849
0.3359 0.6673 0.3098
0.3471 0.6771 0.1678
0.6622 0.3420 0.3304
0.6812 0.3356 0.8346
```

Output
The calculation puts the corrected total energy (MP2020 scheme) at -828.31 eV for the cell shown. As for the total energy: -778.8 eV per cell. The value obtained for the mass density is 2.94 g/cm³. The space-group type is P1, No. 1.